A) Computed, not measured: Fe2OF3 after structural relaxation at the GGA+U level of DFT.

V	12.200	Å³/atom
space-group type	C2 (5)

Lattice parameters (Å, degrees): 5.768 5.768 9.307 95.27 95.27 72.12
Fractional positions:
Fe  0.000  0.000  0.000
Fe  0.135  0.114  0.624
Fe  0.305  0.190  0.249
Fe  0.408  0.339  0.874
Fe  0.543  0.457  0.500
Fe  0.661  0.592  0.126
Fe  0.810  0.695  0.751
Fe  0.886  0.865  0.376
O  0.112  0.395  0.754
O  0.605  0.888  0.246
O  0.705  0.295  0.000
O  0.846  0.154  0.500
F  0.020  0.936  0.771
F  0.064  0.980  0.229
F  0.227  0.773  0.500
F  0.261  0.196  0.023
F  0.310  0.231  0.477
F  0.323  0.677  0.000
F  0.489  0.014  0.749
F  0.505  0.445  0.274
F  0.555  0.495  0.726
F  0.769  0.690  0.523
F  0.804  0.739  0.977
F  0.986  0.511  0.251

B) Computed, not measured: Fe2OF3 after structural relaxation at the GGA+U level of DFT.

V	12.254	Å³/atom
space-group type	Cmcm (63)

Lattice parameters (Å, degrees): 4.883 4.883 6.170 90.00 90.00 88.23
Fractional positions:
Fe  0.000  0.000  0.000
Fe  0.000  0.000  0.500
Fe  0.469  0.531  0.750
Fe  0.531  0.469  0.250
O  0.168  0.832  0.750
O  0.832  0.168  0.250
F  0.210  0.790  0.250
F  0.295  0.295  0.000
F  0.295  0.295  0.500
F  0.705  0.705  0.000
F  0.705  0.705  0.500
F  0.790  0.210  0.750

Order from most stable to least stable according to the calculation: B), A)

A) Computed, not measured: Fe2OF3 after structural relaxation at the GGA+U level of DFT.

V	12.227	Å³/atom
space-group type	Amm2 (38)

Lattice parameters (Å, degrees): 15.650 4.843 4.843 91.77 90.00 90.00
Fractional positions:
Fe  0.000  0.000  0.000
Fe  0.100  0.532  0.532
Fe  0.200  0.054  0.054
Fe  0.299  0.506  0.506
Fe  0.400  0.043  0.043
Fe  0.500  0.506  0.506
Fe  0.600  0.043  0.043
Fe  0.701  0.506  0.506
Fe  0.800  0.054  0.054
Fe  0.900  0.532  0.532
O  0.000  0.702  0.702
O  0.197  0.352  0.352
O  0.400  0.343  0.343
O  0.600  0.343  0.343
O  0.803  0.352  0.352
F  0.000  0.321  0.321
F  0.100  0.237  0.821
F  0.100  0.821  0.237
F  0.202  0.735  0.735
F  0.299  0.243  0.823
F  0.299  0.823  0.243
F  0.400  0.728  0.728
F  0.500  0.240  0.821
F  0.500  0.821  0.240
F  0.600  0.728  0.728
F  0.701  0.243  0.823
F  0.701  0.823  0.243
F  0.798  0.735  0.735
F  0.900  0.237  0.821
F  0.900  0.821  0.237

B) Computed, not measured: Fe2OF3 after structural relaxation at the GGA+U level of DFT.

V	12.191	Å³/atom
space-group type	P2_1/c (14)

Lattice parameters (Å, degrees): 5.777 4.743 10.766 90.00 97.35 90.00
Fractional positions:
Fe  0.000  0.000  0.000
Fe  0.000  0.500  0.500
Fe  0.244  0.024  0.733
Fe  0.244  0.476  0.233
Fe  0.500  0.000  0.500
Fe  0.500  0.500  0.000
Fe  0.756  0.524  0.767
Fe  0.756  0.976  0.267
O  0.222  0.193  0.578
O  0.222  0.307  0.078
O  0.778  0.693  0.922
O  0.778  0.807  0.422
F  0.017  0.706  0.686
F  0.017  0.794  0.186
F  0.282  0.683  0.404
F  0.282  0.817  0.904
F  0.484  0.210  0.318
F  0.484  0.290  0.818
F  0.516  0.710  0.182
F  0.516  0.790  0.682
F  0.718  0.183  0.096
F  0.718  0.317  0.596
F  0.983  0.206  0.814
F  0.983  0.294  0.314

Order from most stable to least stable according to the calculation: A), B)

A) Computed, not measured: Fe6OF11 after structural relaxation at the GGA+U level of DFT.

V	12.602	Å³/atom
space-group type	Amm2 (38)

Lattice parameters (Å, degrees): 9.693 4.838 4.838 90.46 90.00 90.00
Fractional positions:
Fe  0.000  0.000  0.000
Fe  0.151  0.529  0.529
Fe  0.332  0.023  0.023
Fe  0.500  0.520  0.520
Fe  0.668  0.023  0.023
Fe  0.849  0.529  0.529
O  0.000  0.714  0.714
F  0.000  0.305  0.305
F  0.170  0.226  0.812
F  0.170  0.812  0.226
F  0.326  0.326  0.326
F  0.328  0.718  0.718
F  0.500  0.223  0.819
F  0.500  0.819  0.223
F  0.672  0.718  0.718
F  0.674  0.326  0.326
F  0.830  0.226  0.812
F  0.830  0.812  0.226

B) Computed, not measured: Fe6OF11 after structural relaxation at the GGA+U level of DFT.

V	12.611	Å³/atom
space-group type	Amm2 (38)

Lattice parameters (Å, degrees): 3.253 10.821 10.821 143.42 90.00 90.00
Fractional positions:
Fe  0.000  0.000  0.000
Fe  0.000  0.362  0.694
Fe  0.000  0.694  0.362
Fe  0.500  0.196  0.862
Fe  0.500  0.540  0.540
Fe  0.500  0.862  0.196
O  0.500  0.842  0.842
F  0.000  0.131  0.935
F  0.000  0.263  0.795
F  0.000  0.456  0.592
F  0.000  0.592  0.456
F  0.000  0.795  0.263
F  0.000  0.935  0.131
F  0.500  0.159  0.495
F  0.500  0.222  0.222
F  0.500  0.495  0.159
F  0.500  0.563  0.899
F  0.500  0.899  0.563

C) Computed, not measured: Fe6OF11 after structural relaxation at the GGA+U level of DFT.

V	12.682	Å³/atom
space-group type	Cm (8)

Lattice parameters (Å, degrees): 5.838 5.838 7.507 106.07 106.07 71.68
Fractional positions:
Fe  0.000  0.000  0.000
Fe  0.003  0.003  0.482
Fe  0.336  0.336  0.830
Fe  0.342  0.342  0.325
Fe  0.671  0.671  0.665
Fe  0.693  0.693  0.162
O  0.894  0.894  0.189
F  0.041  0.631  0.820
F  0.102  0.102  0.796
F  0.239  0.239  0.524
F  0.305  0.703  0.503
F  0.381  0.971  0.159
F  0.459  0.459  0.138
F  0.580  0.580  0.878
F  0.631  0.041  0.820
F  0.703  0.305  0.503
F  0.758  0.758  0.449
F  0.971  0.381  0.159

Order from most stable to least stable according to the calculation: B), C), A)

A) Computed, not measured: Fe6OF11 after structural relaxation at the GGA+U level of DFT.

V	12.732	Å³/atom
space-group type	P1 (1)

Lattice parameters (Å, degrees): 4.838 5.845 8.113 87.62 89.51 89.59
Fractional positions:
Fe  0.000  0.000  0.000
Fe  0.004  0.310  0.684
Fe  0.023  0.643  0.336
Fe  0.514  0.148  0.341
Fe  0.521  0.807  0.672
Fe  0.528  0.469  0.001
O  0.822  0.259  0.916
F  0.213  0.343  0.444
F  0.215  0.695  0.094
F  0.219  0.999  0.782
F  0.305  0.172  0.109
F  0.317  0.512  0.771
F  0.318  0.843  0.436
F  0.711  0.452  0.245
F  0.719  0.106  0.569
F  0.728  0.780  0.908
F  0.818  0.610  0.571
F  0.823  0.952  0.229

B) Computed, not measured: Fe6OF11 after structural relaxation at the GGA+U level of DFT.

V	12.643	Å³/atom
space-group type	C2 (5)

Lattice parameters (Å, degrees): 5.820 5.820 7.602 107.19 107.19 71.63
Fractional positions:
Fe  0.000  0.000  0.000
Fe  0.305  0.356  0.331
Fe  0.319  0.379  0.847
Fe  0.621  0.681  0.153
Fe  0.644  0.695  0.669
Fe  0.977  0.023  0.500
O  0.288  0.712  0.000
F  0.073  0.126  0.305
F  0.217  0.258  0.031
F  0.348  0.005  0.675
F  0.415  0.451  0.633
F  0.549  0.585  0.367
F  0.603  0.044  0.326
F  0.693  0.307  0.000
F  0.742  0.783  0.969
F  0.874  0.927  0.695
F  0.956  0.397  0.674
F  0.995  0.652  0.325

Order from most stable to least stable according to the calculation: A), B)

A) Computed, not measured: Fe7O3F9 after structural relaxation at the GGA+U level of DFT.

V	12.785	Å³/atom
space-group type	P1 (1)

Lattice parameters (Å, degrees): 5.495 5.705 9.130 75.42 89.51 62.14
Fractional positions:
Fe  0.000  0.000  0.000
Fe  0.012  0.879  0.360
Fe  0.170  0.501  0.743
Fe  0.278  0.362  0.103
Fe  0.454  0.971  0.509
Fe  0.541  0.871  0.858
Fe  0.710  0.425  0.589
O  0.240  0.180  0.939
O  0.309  0.654  0.553
O  0.736  0.680  0.699
F  0.139  0.203  0.626
F  0.210  0.142  0.306
F  0.242  0.674  0.205
F  0.292  0.672  0.897
F  0.703  0.178  0.790
F  0.712  0.162  0.475
F  0.722  0.150  0.155
F  0.770  0.671  0.404
F  0.858  0.701  0.031

B) Computed, not measured: Fe7O3F9 after structural relaxation at the GGA+U level of DFT.

V	12.785	Å³/atom
space-group type	P1 (1)

Lattice parameters (Å, degrees): 5.495 5.705 9.130 75.42 89.51 62.14
Fractional positions:
Fe  0.000  0.000  0.000
Fe  0.012  0.239  0.360
Fe  0.170  0.243  0.743
Fe  0.278  0.465  0.103
Fe  0.454  0.480  0.509
Fe  0.541  0.730  0.858
Fe  0.710  0.014  0.589
O  0.240  0.120  0.939
O  0.309  0.206  0.553
O  0.736  0.379  0.699
F  0.139  0.829  0.626
F  0.210  0.449  0.306
F  0.242  0.879  0.205
F  0.292  0.569  0.897
F  0.703  0.967  0.790
F  0.712  0.636  0.475
F  0.722  0.305  0.155
F  0.770  0.075  0.404
F  0.858  0.732  0.031

Order from most stable to least stable according to the calculation: A), B)

A) Computed, not measured: Zr2Fe2F3 after structural relaxation at the GGA+U level of DFT.

V	18.881	Å³/atom
space-group type	Cm (8)

Lattice parameters (Å, degrees): 8.084 8.084 4.233 101.36 101.36 93.65
Fractional positions:
Zr  0.000  0.000  0.000
Zr  0.028  0.607  0.456
Zr  0.607  0.028  0.456
Zr  0.652  0.652  0.966
Fe  0.314  0.789  0.976
Fe  0.360  0.360  0.624
Fe  0.789  0.314  0.976
Fe  0.866  0.866  0.408
F  0.200  0.200  0.214
F  0.229  0.607  0.224
F  0.411  0.956  0.666
F  0.597  0.597  0.431
F  0.607  0.229  0.224
F  0.956  0.411  0.666

B) Computed, not measured: Zr2Fe2F3 after structural relaxation at the GGA+U level of DFT.

V	17.103	Å³/atom
space-group type	Cm (8)

Lattice parameters (Å, degrees): 6.625 6.625 5.776 100.97 100.97 76.83
Fractional positions:
Zr  0.000  0.000  0.000
Zr  0.212  0.575  0.322
Zr  0.575  0.212  0.322
Zr  0.602  0.602  0.968
Fe  0.286  0.932  0.640
Fe  0.636  0.636  0.467
Fe  0.904  0.904  0.421
Fe  0.932  0.286  0.640
F  0.131  0.445  0.585
F  0.222  0.222  0.148
F  0.238  0.658  0.985
F  0.445  0.131  0.585
F  0.658  0.238  0.985
F  0.787  0.787  0.843

Order from most stable to least stable according to the calculation: B), A)